Density functional theory data (GGA-PBE) for an optimized crystal structure of SrHg2Cl2O2.

Cell lengths 8.454, 7.164, 11.785 Å; angles 90.00, 122.09, 90.00 degrees
Sites, in units of the cell vectors:
Sr  0.151  0.124  0.375
Sr  0.151  0.376  0.875
Sr  0.849  0.624  0.125
Sr  0.849  0.876  0.625
Hg  0.235  0.563  0.607
Hg  0.235  0.937  0.107
Hg  0.395  0.670  0.368
Hg  0.395  0.830  0.868
Hg  0.605  0.170  0.132
Hg  0.605  0.330  0.632
Hg  0.765  0.063  0.893
Hg  0.765  0.437  0.393
Cl  0.088  0.181  0.627
Cl  0.088  0.319  0.127
Cl  0.455  0.600  0.112
Cl  0.455  0.900  0.612
Cl  0.545  0.100  0.388
Cl  0.545  0.400  0.888
Cl  0.912  0.681  0.873
Cl  0.912  0.819  0.373
O  0.151  0.682  0.730
O  0.151  0.818  0.230
O  0.327  0.079  0.997
O  0.327  0.421  0.497
O  0.673  0.579  0.503
O  0.673  0.921  0.003
O  0.849  0.182  0.770
O  0.849  0.318  0.270

- Energy of formation from the pure elements: -1470.2 meV/atom
- Crystal system: monoclinic
- Total DFT energy (no corrections): -0.1302 hartree per atom
- Space-group type: No. 14
- Magnetic moment: 0.002 μB/cell